Material: NpFe2
Method: DFT, PBE-GGA
State: relaxed

extended XYZ file:
```
6
Lattice="0.000 3.421 3.421 3.421 0.000 3.421 3.421 3.421 0.000" Properties=species:S:1:pos:R:3 pbc="T T T"
Np 0.855 0.855 0.855
Np 5.987 5.987 5.987
Fe 3.421 1.711 1.711
Fe 1.711 3.421 1.711
Fe 1.711 1.711 3.421
Fe 3.421 3.421 3.421
```

Properties
* spin magnetization: 0.44 μB/atom
* energy of formation: 0.122 eV per atom